Computed, not measured: a relaxed KVPHO6 crystal at the PBE+U level of DFT.

Cell lengths 6.812, 9.268, 17.338 Å; angles 90.00, 90.00, 90.00 degrees
Sites, in units of the cell vectors:
K 0.226 0.186 0.103
K 0.226 0.314 0.603
K 0.274 0.686 0.103
K 0.274 0.814 0.603
K 0.726 0.186 0.397
K 0.726 0.314 0.897
K 0.774 0.686 0.397
K 0.774 0.814 0.897
V 0.023 0.553 0.760
V 0.023 0.947 0.260
V 0.477 0.053 0.760
V 0.477 0.447 0.260
V 0.523 0.553 0.740
V 0.523 0.947 0.240
V 0.977 0.053 0.740
V 0.977 0.447 0.240
P 0.196 0.110 0.905
P 0.196 0.390 0.405
P 0.304 0.610 0.905
P 0.304 0.890 0.405
P 0.696 0.110 0.595
P 0.696 0.390 0.095
P 0.804 0.610 0.595
P 0.804 0.890 0.095
H 0.210 0.107 0.454
H 0.210 0.393 0.954
H 0.290 0.607 0.454
H 0.290 0.893 0.954
H 0.710 0.107 0.046
H 0.710 0.393 0.546
H 0.790 0.607 0.046
H 0.790 0.893 0.546
O 0.028 0.120 0.277
O 0.028 0.380 0.777
O 0.034 0.046 0.852
O 0.034 0.454 0.352
O 0.112 0.636 0.857
O 0.112 0.864 0.357
O 0.126 0.244 0.947
O 0.126 0.256 0.447
O 0.222 0.109 0.723
O 0.222 0.391 0.223
O 0.239 0.506 0.469
O 0.239 0.994 0.969
O 0.261 0.006 0.469
O 0.261 0.494 0.969
O 0.278 0.609 0.723
O 0.278 0.891 0.223
O 0.374 0.744 0.947
O 0.374 0.756 0.447
O 0.388 0.136 0.857
O 0.388 0.364 0.357
O 0.466 0.546 0.852
O 0.466 0.954 0.352
O 0.472 0.620 0.277
O 0.472 0.880 0.777
O 0.528 0.120 0.223
O 0.528 0.380 0.723
O 0.534 0.046 0.648
O 0.534 0.454 0.148
O 0.612 0.636 0.643
O 0.612 0.864 0.143
O 0.626 0.244 0.553
O 0.626 0.256 0.053
O 0.722 0.109 0.777
O 0.722 0.391 0.277
O 0.739 0.506 0.031
O 0.739 0.994 0.531
O 0.761 0.006 0.031
O 0.761 0.494 0.531
O 0.778 0.609 0.777
O 0.778 0.891 0.277
O 0.874 0.744 0.553
O 0.874 0.756 0.053
O 0.888 0.136 0.643
O 0.888 0.364 0.143
O 0.966 0.546 0.648
O 0.966 0.954 0.148
O 0.972 0.620 0.223
O 0.972 0.880 0.723

Properties
- DFT total energy (eV/cell) = -533.5